DFT (r²SCAN) results for a relaxed Mn3B2O6 crystal.

Lattice parameters (Å, degrees): 4.6439 5.6692 8.7030 90.00 90.00 90.00
Fractional coordinates of all 22 atoms:
1 Mn 0.0000 0.0000 0.0610
2 Mn 0.0000 0.0000 0.4389
3 Mn 0.0000 0.5000 0.2490
4 Mn 0.5000 0.0000 0.7510
5 Mn 0.5000 0.5000 0.5611
6 Mn 0.5000 0.5000 0.9390
7 B 0.0387 0.7421 0.7499
8 B 0.4613 0.2421 0.2501
9 B 0.5387 0.7579 0.2501
10 B 0.9613 0.2579 0.7499
11 O 0.1893 0.7869 0.8853
12 O 0.1896 0.7873 0.6148
13 O 0.2480 0.3187 0.7500
14 O 0.2520 0.8187 0.2500
15 O 0.3104 0.2873 0.3852
16 O 0.3107 0.2869 0.1147
17 O 0.6893 0.7131 0.1147
18 O 0.6896 0.7127 0.3852
19 O 0.7480 0.1813 0.2500
20 O 0.7520 0.6813 0.7500
21 O 0.8104 0.2127 0.6148
22 O 0.8107 0.2131 0.8853

M_tot = 1.364 μB per atom
Uncorrected energy = -239.70 eV for the cell shown
Crystal system = orthorhombic
ΔH_f (0 K) = -25.27 eV/f.u.

***

DFT (r²SCAN) results for a relaxed Zr3O crystal.

Lattice parameters (Å, degrees): 6.1349 6.1349 6.1349 54.88 54.88 54.88
Fractional coordinates of all 8 atoms:
1 Zr 0.0915 0.7500 0.4085
2 Zr 0.2500 0.5915 0.9085
3 Zr 0.4085 0.0915 0.7500
4 Zr 0.5915 0.9085 0.2500
5 Zr 0.7500 0.4085 0.0915
6 Zr 0.9085 0.2500 0.5915
7 O 0.0000 0.0000 0.0000
8 O 0.5000 0.5000 0.5000

M_tot = 0.000 μB per atom
Uncorrected energy = -160.78 eV for the cell shown
Crystal system = trigonal
ΔH_f (0 K) = -6.17 eV/f.u.

***

DFT (r²SCAN) results for a relaxed PtRh3 crystal.

Lattice parameters (Å, degrees): 3.8405 3.8405 3.8405 90.00 90.00 90.00
Fractional coordinates of all 4 atoms:
1 Pt 0.0000 0.0000 0.0000
2 Rh 0.0000 0.5000 0.5000
3 Rh 0.5000 0.0000 0.5000
4 Rh 0.5000 0.5000 0.0000

M_tot = 0.000 μB per atom
Uncorrected energy = -123.99 eV for the cell shown
Crystal system = cubic
ΔH_f (0 K) = -0.09 eV/f.u.

***

DFT (r²SCAN) results for a relaxed Ca4GaSn3 crystal.

Lattice parameters (Å, degrees): 4.3786 4.7326 11.3764 90.00 90.00 90.00
Fractional coordinates of all 8 atoms:
1 Ca 0.0000 0.0000 0.0000
2 Ca 0.0000 0.5000 0.4868
3 Ca 0.5000 0.0000 0.2618
4 Ca 0.5000 0.5000 0.7682
5 Ga 0.0000 0.5000 0.2094
6 Sn 0.0000 0.0000 0.7126
7 Sn 0.5000 0.0000 0.5467
8 Sn 0.5000 0.5000 0.0559

M_tot = 0.000 μB per atom
Uncorrected energy = -119.53 eV for the cell shown
Crystal system = orthorhombic
ΔH_f (0 K) = -5.69 eV/f.u.

***

Number 3 is which compound? PtRh3